Entry 1:
Compound: TiZn3
Source: the Materials Project database
Functional: PBE
Structure: optimized geometry

E_form (eV per atom): -0.194

a b c (Å): 5.638 5.638 4.351
angles (deg): 90.00 90.00 120.00
Positions (direct):
Ti 0.667 0.333 0.250
Ti 0.333 0.667 0.750
Zn 0.330 0.165 0.750
Zn 0.835 0.165 0.750
Zn 0.835 0.670 0.750
Zn 0.165 0.330 0.250
Zn 0.670 0.835 0.250
Zn 0.165 0.835 0.250

***

Entry 2:
Compound: BaTi8O16
Source: the Materials Project database
Functional: PBE
Structure: optimized geometry

E_form (eV per atom): -3.485
Magnetization (Bohr magnetons per cell): 4.00

a b c (Å): 10.472 10.472 14.321
angles (deg): 48.76 48.76 33.05
Positions (direct):
O 0.967 0.978 0.204
O 0.563 0.053 0.344
O 0.475 0.468 0.207
O 0.932 0.424 0.340
O 0.328 0.319 0.159
O 0.217 0.726 0.707
O 0.865 0.858 0.460
O 0.187 0.196 0.156
O 0.068 0.578 0.659
O 0.782 0.273 0.296
O 0.142 0.135 0.540
O 0.817 0.825 0.160
O 0.637 0.646 0.541
O 0.804 0.813 0.844
O 0.947 0.437 0.656
O 0.727 0.218 0.704
O 0.681 0.672 0.841
O 0.022 0.033 0.796
O 0.354 0.363 0.459
O 0.311 0.300 0.848
O 0.607 0.116 0.960
O 0.114 0.603 0.959
O 0.440 0.949 0.652
O 0.884 0.393 0.040
O 0.397 0.886 0.041
O 0.700 0.689 0.152
O 0.532 0.525 0.793
O 0.422 0.932 0.341
O 0.576 0.068 0.660
O 0.175 0.183 0.840
O 0.274 0.783 0.293
O 0.051 0.560 0.348
Ba 0.729 0.271 0.000
Ba 0.981 0.019 0.500
Ti 0.091 0.094 0.158
Ti 0.266 0.268 0.645
Ti 0.906 0.909 0.842
Ti 0.338 0.841 0.671
Ti 0.993 0.494 0.850
Ti 0.018 0.516 0.144
Ti 0.590 0.588 0.172
Ti 0.484 0.982 0.856
Ti 0.732 0.734 0.355
Ti 0.844 0.341 0.659
Ti 0.412 0.410 0.828
Ti 0.758 0.756 0.649
Ti 0.244 0.242 0.351
Ti 0.659 0.156 0.341
Ti 0.506 0.007 0.150
Ti 0.159 0.662 0.329